Entry 1:
{
  "formula": "Sr2MgVO4",
  "functional": "GGA+U",
  "state": "relaxed",
  "magnetic_moment_mub_per_cell": 3.000,
  "e_above_lowest_polymorph_ev_per_atom": 0.000,
  "energy_mp2020_ev_per_atom": -6.8836,
  "lattice": [[2.773, -2.746, 0.000], [2.773, 2.746, 0.000], [-0.325, 0.000, 7.757]],
  "species": ["Sr", "Sr", "Mg", "V", "O", "O", "O", "O"],
  "fractional_positions": [[0.000, 0.000, 0.000], [0.504, 0.504, 0.327], [0.492, 0.492, 0.753], [0.981, 0.981, 0.581], [0.046, 0.046, 0.308], [0.495, 0.988, 0.675], [0.512, 0.512, 0.014], [0.988, 0.495, 0.675]]
}


Entry 2:
{
  "formula": "MgVBiO4",
  "functional": "GGA+U",
  "state": "relaxed",
  "magnetic_moment_mub_per_cell": 2.000,
  "energy_mp2020_ev_per_atom": -6.9831,
  "lattice": [[5.335, 0.000, 0.000], [-2.412, 4.856, 0.000], [-1.503, -2.321, 4.855]],
  "species": ["Mg", "V", "Bi", "O", "O", "O", "O"],
  "fractional_positions": [[0.000, 0.000, 0.000], [0.503, 0.498, 0.996], [0.384, 0.879, 0.495], [0.196, 0.447, 0.136], [0.319, 0.062, 0.861], [0.552, 0.675, 0.740], [0.932, 0.807, 0.259]]
}


Entry 3:
{
  "formula": "Li9Mn2Co5O16",
  "functional": "GGA+U",
  "state": "relaxed",
  "magnetic_moment_mub_per_cell": 18.000,
  "e_above_lowest_polymorph_ev_per_atom": 0.069,
  "energy_mp2020_ev_per_atom": -6.4897,
  "lattice": [[2.982, 0.000, 0.000], [-0.411, 5.948, 0.000], [-0.254, -0.276, 16.146]],
  "species": ["Li", "Li", "Li", "Li", "Li", "Li", "Li", "Li", "Li", "Mn", "Mn", "Co", "Co", "Co", "Co", "Co", "O", "O", "O", "O", "O", "O", "O", "O", "O", "O", "O", "O", "O", "O", "O", "O"],
  "fractional_positions": [[0.000, 0.000, 0.000], [0.000, 0.000, 0.500], [0.000, 0.500, 0.000], [0.001, 0.502, 0.247], [0.498, 0.743, 0.877], [0.499, 0.252, 0.625], [0.501, 0.748, 0.375], [0.502, 0.257, 0.123], [0.999, 0.498, 0.753], [0.492, 0.253, 0.374], [0.508, 0.747, 0.626], [0.000, 0.500, 0.500], [0.002, 0.999, 0.248], [0.496, 0.260, 0.881], [0.504, 0.740, 0.119], [0.998, 0.001, 0.752], [0.023, 0.014, 0.869], [0.027, 0.519, 0.125], [0.028, 0.005, 0.369], [0.036, 0.506, 0.620], [0.472, 0.236, 0.761], [0.474, 0.280, 0.496], [0.475, 0.235, 0.253], [0.498, 0.754, 0.012], [0.502, 0.246, 0.988], [0.525, 0.765, 0.747], [0.526, 0.720, 0.504], [0.528, 0.764, 0.239], [0.964, 0.494, 0.380], [0.972, 0.995, 0.631], [0.973, 0.481, 0.875], [0.977, 0.986, 0.131]]
}


Entry 4:
{
  "formula": "Li6MnNi7O16",
  "functional": "GGA+U",
  "state": "relaxed",
  "magnetic_moment_mub_per_cell": 17.999,
  "energy_mp2020_ev_per_atom": -6.1297,
  "lattice": [[6.450, 0.000, 0.000], [-3.124, 6.963, 0.000], [-2.105, -1.841, 12.290]],
  "species": ["Li", "Li", "Li", "Li", "Li", "Li", "Li", "Li", "Li", "Li", "Li", "Li", "Mn", "Mn", "Ni", "Ni", "Ni", "Ni", "Ni", "Ni", "Ni", "Ni", "Ni", "Ni", "Ni", "Ni", "Ni", "Ni", "O", "O", "O", "O", "O", "O", "O", "O", "O", "O", "O", "O", "O", "O", "O", "O", "O", "O", "O", "O", "O", "O", "O", "O", "O", "O", "O", "O", "O", "O", "O", "O"],
  "fractional_positions": [[0.037, 0.182, 0.471], [0.095, 0.571, 0.406], [0.225, 0.306, 0.282], [0.278, 0.693, 0.224], [0.349, 0.056, 0.151], [0.413, 0.441, 0.091], [0.587, 0.559, 0.909], [0.651, 0.944, 0.849], [0.722, 0.307, 0.776], [0.775, 0.694, 0.718], [0.905, 0.429, 0.594], [0.963, 0.818, 0.529], [0.249, 0.003, 0.747], [0.751, 0.997, 0.253], [0.000, 0.500, 0.000], [0.064, 0.878, 0.937], [0.125, 0.251, 0.875], [0.188, 0.632, 0.812], [0.304, 0.375, 0.685], [0.382, 0.753, 0.628], [0.439, 0.123, 0.563], [0.500, 0.500, 0.500], [0.561, 0.877, 0.437], [0.618, 0.247, 0.372], [0.696, 0.625, 0.315], [0.812, 0.368, 0.188], [0.875, 0.749, 0.125], [0.936, 0.122, 0.063], [0.018, 0.020, 0.188], [0.042, 0.376, 0.741], [0.085, 0.381, 0.138], [0.103, 0.743, 0.673], [0.135, 0.772, 0.064], [0.167, 0.089, 0.614], [0.198, 0.132, 0.015], [0.215, 0.461, 0.556], [0.265, 0.507, 0.949], [0.303, 0.852, 0.500], [0.320, 0.896, 0.878], [0.359, 0.248, 0.424], [0.387, 0.278, 0.813], [0.420, 0.615, 0.366], [0.462, 0.661, 0.761], [0.473, 0.967, 0.288], [0.527, 0.033, 0.712], [0.538, 0.339, 0.239], [0.580, 0.385, 0.634], [0.613, 0.722, 0.187], [0.641, 0.752, 0.576], [0.680, 0.104, 0.122], [0.697, 0.148, 0.500], [0.735, 0.493, 0.051], [0.785, 0.539, 0.444], [0.802, 0.868, 0.985], [0.833, 0.911, 0.386], [0.865, 0.228, 0.936], [0.897, 0.257, 0.327], [0.915, 0.619, 0.862], [0.958, 0.624, 0.259], [0.982, 0.980, 0.812]]
}


Entry 5:
{
  "formula": "Li2CrWO6",
  "functional": "GGA+U",
  "state": "relaxed",
  "magnetic_moment_mub_per_cell": 4.000,
  "piezo_max_c_m2": 3.36,
  "energy_mp2020_ev_per_atom": -7.8182,
  "lattice": [[5.103, 0.000, 0.000], [0.001, 5.366, 0.000], [0.002, 0.515, 7.380]],
  "species": ["Li", "Li", "Li", "Li", "Cr", "Cr", "W", "W", "O", "O", "O", "O", "O", "O", "O", "O", "O", "O", "O", "O"],
  "fractional_positions": [[0.000, 0.000, 0.000], [0.001, 0.006, 0.503], [0.499, 0.510, 0.003], [0.502, 0.505, 0.500], [0.004, 0.565, 0.284], [0.496, 0.068, 0.781], [0.504, 0.069, 0.282], [0.997, 0.567, 0.785], [0.118, 0.585, 0.038], [0.191, 0.274, 0.349], [0.191, 0.891, 0.733], [0.305, 0.775, 0.351], [0.312, 0.392, 0.732], [0.383, 0.087, 0.037], [0.615, 0.085, 0.538], [0.686, 0.389, 0.233], [0.698, 0.772, 0.850], [0.803, 0.271, 0.850], [0.815, 0.890, 0.234], [0.884, 0.588, 0.537]]
}


Entry 6:
{
  "formula": "Li3Fe2Si2O8",
  "functional": "GGA+U",
  "state": "relaxed",
  "magnetic_moment_mub_per_cell": 18.000,
  "e_above_lowest_polymorph_ev_per_atom": 0.026,
  "energy_mp2020_ev_per_atom": -7.3698,
  "lattice": [[5.069, 0.000, 0.000], [0.000, 11.082, 0.000], [-0.009, 0.000, 6.187]],
  "species": ["Li", "Li", "Li", "Li", "Li", "Li", "Fe", "Fe", "Fe", "Fe", "Si", "Si", "Si", "Si", "O", "O", "O", "O", "O", "O", "O", "O", "O", "O", "O", "O", "O", "O", "O", "O"],
  "fractional_positions": [[0.064, 0.000, 0.252], [0.081, 0.006, 0.747], [0.430, 0.173, 0.260], [0.570, 0.673, 0.740], [0.919, 0.506, 0.253], [0.936, 0.500, 0.748], [0.089, 0.750, 0.483], [0.430, 0.414, 0.001], [0.570, 0.914, 0.999], [0.911, 0.250, 0.517], [0.070, 0.746, 0.993], [0.414, 0.419, 0.496], [0.586, 0.919, 0.504], [0.930, 0.246, 0.007], [0.008, 0.172, 0.792], [0.039, 0.176, 0.223], [0.053, 0.389, 0.998], [0.090, 0.425, 0.498], [0.395, 0.765, 0.977], [0.474, 0.989, 0.275], [0.476, 0.782, 0.506], [0.476, 0.987, 0.728], [0.524, 0.282, 0.494], [0.524, 0.487, 0.272], [0.526, 0.489, 0.725], [0.605, 0.265, 0.023], [0.910, 0.925, 0.502], [0.947, 0.889, 0.002], [0.961, 0.676, 0.777], [0.992, 0.672, 0.208]]
}